(1)
First-principles (PBE) data for a relaxed Na27Ca3Al5P24O84 crystal, as listed in the Materials Project database.

Properties
The electronic total energy comes out at -6.628 eV per atom. For the energy relative to the elements, the calculation gives -2.794 eV/atom. As for the space group: No. 1.

a b c (Å): 9.382 15.164 15.167
angles (deg): 115.86 101.89 101.89
Sites, in units of the cell vectors:
Na 0.352 0.427 0.185
Na 0.172 0.289 0.713
Na 0.536 0.711 0.422
Na 0.107 0.454 0.952
Na 0.070 0.241 0.424
Na 0.845 0.950 0.497
Na 0.349 0.506 0.453
Na 0.436 0.806 0.071
Na 0.051 0.728 0.955
Na 0.904 0.955 0.227
Na 0.832 0.182 0.759
Na 0.371 0.736 0.806
Na 0.676 0.773 0.726
Na 0.122 0.578 0.291
Na 0.635 0.069 0.263
Na 0.366 0.929 0.735
Na 0.321 0.228 0.272
Na 0.630 0.264 0.193
Na 0.172 0.815 0.241
Na 0.094 0.046 0.772
Na 0.952 0.274 0.046
Na 0.564 0.194 0.930
Na 0.649 0.498 0.544
Na 0.152 0.049 0.505
Na 0.928 0.759 0.575
Na 0.898 0.546 0.051
Na 0.645 0.577 0.817
Ca 0.886 0.423 0.711
Ca 0.453 0.287 0.578
Ca 0.830 0.709 0.289
Al 0.001 0.502 0.498
Al 0.500 0.998 0.500
Al 0.000 0.001 0.000
Al 0.501 0.001 0.000
Al 0.497 0.499 0.001
P 0.224 0.288 0.922
P 0.322 0.626 0.157
P 0.698 0.922 0.634
P 0.293 0.553 0.847
P 0.303 0.469 0.626
P 0.553 0.846 0.293
P 0.064 0.365 0.288
P 0.695 0.835 0.975
P 0.834 0.156 0.530
P 0.260 0.705 0.553
P 0.280 0.975 0.141
P 0.140 0.859 0.835
P 0.861 0.142 0.166
P 0.719 0.024 0.858
P 0.741 0.293 0.447
P 0.166 0.843 0.470
P 0.305 0.166 0.024
P 0.938 0.635 0.712
P 0.447 0.153 0.706
P 0.696 0.530 0.374
P 0.707 0.447 0.153
P 0.302 0.077 0.365
P 0.677 0.373 0.844
P 0.775 0.712 0.077
O 0.102 0.214 0.816
O 0.161 0.339 0.009
O 0.344 0.367 0.913
O 0.370 0.609 0.248
O 0.715 0.816 0.602
O 0.356 0.554 0.060
O 0.244 0.359 0.608
O 0.439 0.534 0.892
O 0.143 0.463 0.808
O 0.154 0.620 0.124
O 0.666 0.808 0.345
O 0.178 0.330 0.340
O 0.467 0.492 0.619
O 0.569 0.913 0.546
O 0.425 0.744 0.188
O 0.848 0.009 0.670
O 0.319 0.555 0.743
O 0.284 0.660 0.912
O 0.198 0.493 0.554
O 0.679 0.780 0.048
O 0.454 0.893 0.358
O 0.628 0.912 0.252
O 0.112 0.397 0.214
O 0.647 0.749 0.863
O 0.022 0.453 0.367
O 0.705 0.061 0.508
O 0.971 0.125 0.505
O 0.217 0.863 0.114
O 0.862 0.909 0.027
O 0.100 0.732 0.780
O 0.574 0.889 0.994
O 0.095 0.642 0.536
O 0.316 0.653 0.462
O 0.375 0.748 0.660
O 0.878 0.250 0.639
O 0.368 0.048 0.268
O 0.897 0.114 0.250
O 0.420 0.994 0.104
O 0.762 0.188 0.444
O 0.315 0.896 0.890
O 0.047 0.882 0.909
O 0.835 0.973 0.883
O 0.164 0.027 0.118
O 0.953 0.117 0.091
O 0.685 0.104 0.111
O 0.236 0.812 0.555
O 0.581 0.006 0.896
O 0.103 0.886 0.750
O 0.631 0.953 0.733
O 0.114 0.751 0.359
O 0.623 0.253 0.342
O 0.683 0.346 0.540
O 0.905 0.359 0.468
O 0.426 0.110 0.006
O 0.899 0.267 0.220
O 0.138 0.091 0.973
O 0.783 0.137 0.887
O 0.026 0.874 0.492
O 0.295 0.939 0.493
O 0.975 0.543 0.634
O 0.354 0.250 0.137
O 0.888 0.599 0.785
O 0.371 0.088 0.747
O 0.548 0.109 0.642
O 0.321 0.220 0.952
O 0.803 0.507 0.447
O 0.717 0.341 0.088
O 0.681 0.444 0.257
O 0.152 0.991 0.330
O 0.575 0.257 0.812
O 0.432 0.090 0.456
O 0.535 0.505 0.381
O 0.822 0.670 0.661
O 0.340 0.193 0.652
O 0.847 0.382 0.872
O 0.853 0.540 0.192
O 0.561 0.466 0.108
O 0.761 0.639 0.389
O 0.644 0.447 0.938
O 0.289 0.185 0.400
O 0.634 0.390 0.749
O 0.658 0.634 0.089
O 0.839 0.661 0.991
O 0.897 0.785 0.185



(2)
First-principles (PBE) data for a relaxed BaP4Au2 crystal, as listed in the Materials Project database.

Properties
The electronic total energy comes out at -4.778 eV per atom. For the energy relative to the elements, the calculation gives -0.475 eV/atom. As for the space group: No. 70.

a b c (Å): 12.146 11.745 5.575
angles (deg): 80.55 72.53 26.92
Sites, in units of the cell vectors:
Ba 0.000 0.000 0.000
Ba 0.250 0.250 0.250
P 0.653 0.005 0.619
P 0.723 0.619 0.005
P 0.619 0.723 0.653
P 0.005 0.653 0.723
P 0.597 0.245 0.631
P 0.527 0.631 0.245
P 0.631 0.527 0.597
P 0.245 0.597 0.527
Au 0.837 0.837 0.163
Au 0.163 0.163 0.837
Au 0.413 0.413 0.087
Au 0.087 0.087 0.413



(3)
First-principles (PBE) data for a relaxed Ce2Dy2O7 crystal, as listed in the Materials Project database.

Properties
The electronic total energy comes out at -8.526 eV per atom. The energy relative to the lowest polymorph listed for this composition is 0 meV per atom. For the energy relative to the elements, the calculation gives -3.898 eV/atom. As for the space group: No. 51.

a b c (Å): 3.760 7.790 10.903
angles (deg): 90.00 90.00 90.00
Sites, in units of the cell vectors:
Ce 0.000 0.750 0.746
Ce 0.000 0.250 0.254
Ce 0.500 0.000 0.000
Ce 0.500 0.500 0.000
Dy 0.000 0.750 0.232
Dy 0.500 0.000 0.500
Dy 0.000 0.250 0.768
Dy 0.500 0.500 0.500
O 0.500 0.750 0.608
O 0.000 0.958 0.375
O 0.500 0.750 0.129
O 0.500 0.250 0.133
O 0.000 0.011 0.123
O 0.000 0.989 0.877
O 0.000 0.511 0.877
O 0.500 0.250 0.871
O 0.500 0.750 0.867
O 0.000 0.458 0.625
O 0.000 0.542 0.375
O 0.000 0.042 0.625
O 0.500 0.250 0.392
O 0.000 0.489 0.123



(4)
First-principles (PBE) data for a relaxed TbRh3C crystal, as listed in the Materials Project database.

Properties
The electronic total energy comes out at -7.684 eV per atom. For the energy relative to the elements, the calculation gives -0.493 eV/atom. As for the space group: No. 221.

a b c (Å): 4.190 4.190 4.190
angles (deg): 90.00 90.00 90.00
Sites, in units of the cell vectors:
Tb 0.000 0.000 0.000
Rh 0.000 0.500 0.500
Rh 0.500 0.500 0.000
Rh 0.500 0.000 0.500
C 0.500 0.500 0.500



(5)
First-principles (PBE) data for a relaxed Er2CO7 crystal, as listed in the Materials Project database.

Properties
The electronic total energy comes out at -7.132 eV per atom. For the energy relative to the elements, the calculation gives -2.313 eV/atom. As for the space group: No. 14.

a b c (Å): 5.917 6.383 16.055
angles (deg): 84.54 90.00 90.00
Sites, in units of the cell vectors:
Er 0.233 0.925 0.576
Er 0.767 0.075 0.424
Er 0.733 0.075 0.924
Er 0.267 0.925 0.076
Er 0.233 0.897 0.823
Er 0.767 0.103 0.177
Er 0.733 0.103 0.677
Er 0.267 0.897 0.323
C 0.423 0.426 0.618
C 0.577 0.574 0.382
C 0.923 0.574 0.882
C 0.077 0.426 0.118
O 0.878 0.924 0.052
O 0.122 0.076 0.948
O 0.378 0.076 0.448
O 0.622 0.924 0.552
O 0.409 0.865 0.951
O 0.591 0.135 0.049
O 0.909 0.135 0.549
O 0.091 0.865 0.451
O 0.289 0.576 0.595
O 0.711 0.424 0.405
O 0.789 0.424 0.905
O 0.211 0.576 0.095
O 0.854 0.769 0.879
O 0.146 0.231 0.121
O 0.354 0.231 0.621
O 0.646 0.769 0.379
O 0.483 0.853 0.721
O 0.517 0.147 0.279
O 0.983 0.147 0.779
O 0.017 0.853 0.221
O 0.043 0.893 0.700
O 0.957 0.107 0.300
O 0.543 0.107 0.800
O 0.457 0.893 0.200
O 0.129 0.547 0.860
O 0.871 0.453 0.140
O 0.629 0.453 0.640
O 0.371 0.547 0.360



(6)
First-principles (PBE) data for a relaxed Ta3P crystal, as listed in the Materials Project database.

Properties
The electronic total energy comes out at -10.844 eV per atom. For the energy relative to the elements, the calculation gives -0.598 eV/atom. As for the space group: No. 86.

a b c (Å): 10.226 10.226 5.044
angles (deg): 90.00 90.00 90.00
Sites, in units of the cell vectors:
Ta 0.406 0.909 0.493
Ta 0.409 0.094 0.993
Ta 0.591 0.906 0.993
Ta 0.594 0.091 0.493
Ta 0.094 0.591 0.007
Ta 0.091 0.406 0.507
Ta 0.909 0.594 0.507
Ta 0.906 0.409 0.007
Ta 0.004 0.854 0.255
Ta 0.354 0.496 0.755
Ta 0.646 0.504 0.755
Ta 0.996 0.146 0.255
Ta 0.496 0.646 0.245
Ta 0.146 0.004 0.745
Ta 0.854 0.996 0.745
Ta 0.504 0.354 0.245
Ta 0.296 0.803 0.997
Ta 0.303 0.204 0.497
Ta 0.697 0.796 0.497
Ta 0.704 0.197 0.997
Ta 0.204 0.697 0.503
Ta 0.197 0.296 0.003
Ta 0.803 0.704 0.003
Ta 0.796 0.303 0.503
P 0.008 0.792 0.756
P 0.292 0.492 0.256
P 0.708 0.508 0.256
P 0.992 0.208 0.756
P 0.492 0.708 0.744
P 0.208 0.008 0.244
P 0.792 0.992 0.244
P 0.508 0.292 0.744